(1)
U2BiN2 after structural relaxation. Source: the Materials Project, functional PBE-GGA.

Calculated values
DFT total energy   -45.9 eV per cell
Energy relative to the lowest polymorph listed for this composition   2.89 eV per formula unit

Cell lengths 6.1417, 6.1417, 6.1417 Å; angles 136.29, 136.29, 63.53 degrees
Positions (direct):
U 0.7500 0.2500 0.5000
U 0.2500 0.7500 0.5000
Bi 0.0000 0.0000 0.0000
N 0.7244 0.7244 0.0000
N 0.2756 0.2756 0.0000


(2)
SrNdEuSbO6 after structural relaxation. Source: the Materials Project, functional PBE-GGA.

Calculated values
DFT total energy   -75.6 eV per cell
Energy relative to the lowest polymorph listed for this composition   0.99 eV per formula unit

Cell lengths 6.0542, 6.0542, 6.0542 Å; angles 60.00, 60.00, 60.00 degrees
Positions (direct):
Sr 0.7500 0.7500 0.7500
Nd 0.0000 0.0000 0.0000
Eu 0.2500 0.2500 0.2500
Sb 0.5000 0.5000 0.5000
O 0.7330 0.2670 0.2670
O 0.2670 0.7330 0.7330
O 0.7330 0.2670 0.7330
O 0.2670 0.7330 0.2670
O 0.7330 0.7330 0.2670
O 0.2670 0.2670 0.7330